Computed, not measured: a relaxed Ba3NaSi2B7O20 crystal at the PBE level of DFT.

Properties
Its symmetry is C2/c. Its total energy after the MP2020 corrections is -511.04 eV per cell. For the size of the total moment, the calculation gives 8.01 μB per cell. Its formation energy is -2784 meV/atom.

a = 8.542 Å, b = 8.542 Å, c = 13.710 Å
α = 68.98°, β = 68.98°, γ = 59.98°
Fractional coordinates of all 66 atoms:
Ba (0.275, 0.147, 0.801)
Ba (0.853, 0.725, 0.699)
Ba (0.575, 0.425, 0.250)
Ba (0.725, 0.853, 0.199)
Ba (0.147, 0.275, 0.301)
Ba (0.425, 0.575, 0.750)
O (0.920, 0.103, 0.158)
O (0.458, 0.720, 0.359)
O (0.810, 0.468, 0.603)
O (0.510, 0.119, 0.315)
O (0.881, 0.490, 0.185)
O (0.597, 0.883, 0.886)
O (0.301, 0.468, 0.989)
O (0.532, 0.190, 0.897)
O (0.197, 0.983, 0.226)
O (0.946, 0.244, 0.968)
O (0.244, 0.946, 0.468)
O (0.983, 0.197, 0.726)
O (0.080, 0.897, 0.842)
O (0.403, 0.117, 0.114)
O (0.803, 0.017, 0.774)
O (0.532, 0.699, 0.511)
O (0.280, 0.542, 0.141)
O (0.756, 0.054, 0.532)
O (0.119, 0.510, 0.815)
O (0.883, 0.597, 0.386)
O (0.210, 0.085, 0.035)
O (0.733, 0.364, 0.464)
O (0.915, 0.790, 0.465)
O (0.085, 0.210, 0.535)
O (0.364, 0.733, 0.964)
O (0.054, 0.756, 0.032)
O (0.267, 0.636, 0.536)
O (0.017, 0.803, 0.274)
O (0.117, 0.403, 0.614)
O (0.790, 0.915, 0.965)
O (0.636, 0.267, 0.036)
O (0.720, 0.458, 0.859)
O (0.103, 0.920, 0.658)
O (0.490, 0.881, 0.685)
O (0.542, 0.280, 0.641)
O (0.897, 0.080, 0.342)
O (0.468, 0.301, 0.489)
O (0.190, 0.532, 0.397)
O (0.699, 0.532, 0.011)
O (0.468, 0.810, 0.103)
B (0.978, 0.861, 0.943)
B (0.004, 0.684, 0.379)
B (0.139, 0.022, 0.557)
B (0.749, 0.367, 0.967)
B (0.017, 0.983, 0.250)
B (0.996, 0.316, 0.621)
B (0.983, 0.017, 0.750)
B (0.633, 0.251, 0.533)
B (0.022, 0.139, 0.057)
B (0.251, 0.633, 0.033)
B (0.684, 0.004, 0.879)
B (0.367, 0.749, 0.467)
B (0.316, 0.996, 0.121)
B (0.861, 0.978, 0.443)
Si (0.257, 0.472, 0.509)
Si (0.528, 0.743, 0.991)
Si (0.472, 0.257, 0.009)
Si (0.743, 0.528, 0.491)
Na (0.500, 0.000, 0.500)
Na (0.000, 0.500, 0.000)